# 1
# Tb2Co3Ni

An optimized crystal structure of Tb2Co3Ni (meta-GGA r2SCAN, Materials Project).

Values from the calculation:
**Electronic total energy**: -19.23 eV/atom
**Total magnetization**: 0.52 μB per atom
**Space-group type**: R-3m, No. 166
**Calculated formation energy**: -0.209 eV per atom

Lattice parameters (Å, degrees): 5.255 5.255 5.255 55.80 55.80 55.80
Fractional coordinates of all 6 atoms:
Tb 0.119 0.119 0.119
Tb 0.881 0.881 0.881
Co 0.000 0.500 0.500
Co 0.500 0.000 0.500
Co 0.500 0.500 0.000
Ni 0.500 0.500 0.500

---

# 2
# BaHg2

An optimized crystal structure of BaHg2 (meta-GGA r2SCAN, Materials Project).

Values from the calculation:
**Electronic total energy**: -42.29 eV/atom
**Total magnetization**: 0.00 μB per atom
**Space-group type**: Imma, No. 74
**Calculated formation energy**: -0.542 eV per atom

Lattice parameters (Å, degrees): 5.171 8.342 9.044 90.00 90.00 90.00
Fractional coordinates of all 12 atoms:
Ba 0.000 0.250 0.001
Ba 0.000 0.750 0.999
Ba 0.500 0.250 0.499
Ba 0.500 0.750 0.501
Hg 0.000 0.001 0.666
Hg 0.000 0.499 0.666
Hg 0.000 0.501 0.334
Hg 0.000 0.999 0.334
Hg 0.500 0.001 0.834
Hg 0.500 0.499 0.834
Hg 0.500 0.501 0.166
Hg 0.500 0.999 0.166

---

# 3
# Ho2ZrS5

An optimized crystal structure of Ho2ZrS5 (meta-GGA r2SCAN, Materials Project).

Values from the calculation:
**Electronic total energy**: -18.24 eV/atom
**Total magnetization**: 0.00 μB per atom
**Space-group type**: Pnma, No. 62
**Calculated formation energy**: -2.153 eV per atom

Lattice parameters (Å, degrees): 11.558 7.708 7.237 90.00 90.00 90.00
Fractional coordinates of all 32 atoms:
Ho 0.179 0.003 0.020
Ho 0.179 0.497 0.020
Ho 0.321 0.503 0.520
Ho 0.321 0.997 0.520
Ho 0.679 0.003 0.480
Ho 0.679 0.497 0.480
Ho 0.821 0.503 0.980
Ho 0.821 0.997 0.980
Zr 0.006 0.750 0.578
Zr 0.494 0.250 0.078
Zr 0.506 0.750 0.922
Zr 0.994 0.250 0.422
S 0.003 0.750 0.950
S 0.096 0.037 0.660
S 0.096 0.463 0.660
S 0.182 0.750 0.330
S 0.209 0.250 0.308
S 0.291 0.750 0.808
S 0.318 0.250 0.830
S 0.404 0.537 0.160
S 0.404 0.963 0.160
S 0.497 0.250 0.450
S 0.503 0.750 0.550
S 0.596 0.037 0.840
S 0.596 0.463 0.840
S 0.682 0.750 0.170
S 0.709 0.250 0.192
S 0.791 0.750 0.692
S 0.818 0.250 0.670
S 0.904 0.537 0.340
S 0.904 0.963 0.340
S 0.997 0.250 0.050

---

# 4
# Ho2Ga9Ir3

An optimized crystal structure of Ho2Ga9Ir3 (meta-GGA r2SCAN, Materials Project).

Values from the calculation:
**Electronic total energy**: -24.02 eV/atom
**Total magnetization**: 0.00 μB per atom
**Space-group type**: Cmcm, No. 63
**Calculated formation energy**: -0.751 eV per atom

Lattice parameters (Å, degrees): 7.489 7.489 9.438 90.00 90.00 60.16
Fractional coordinates of all 28 atoms:
Ho 0.002 0.669 0.750
Ho 0.331 0.998 0.750
Ho 0.669 0.002 0.250
Ho 0.998 0.331 0.250
Ga 0.000 0.335 0.580
Ga 0.000 0.335 0.920
Ga 0.000 0.665 0.080
Ga 0.000 0.665 0.420
Ga 0.130 0.870 0.250
Ga 0.333 0.667 0.567
Ga 0.333 0.667 0.933
Ga 0.335 0.000 0.080
Ga 0.335 0.000 0.420
Ga 0.338 0.455 0.250
Ga 0.455 0.338 0.750
Ga 0.545 0.662 0.250
Ga 0.662 0.545 0.750
Ga 0.665 0.000 0.580
Ga 0.665 0.000 0.920
Ga 0.667 0.333 0.067
Ga 0.667 0.333 0.433
Ga 0.870 0.130 0.750
Ir 0.000 0.000 0.000
Ir 0.000 0.000 0.500
Ir 0.329 0.329 0.000
Ir 0.329 0.329 0.500
Ir 0.671 0.671 0.000
Ir 0.671 0.671 0.500

---

# 5
# Nd2AlNi2

An optimized crystal structure of Nd2AlNi2 (meta-GGA r2SCAN, Materials Project).

Values from the calculation:
**Electronic total energy**: -18.33 eV/atom
**Total magnetization**: 0.00 μB per atom
**Space-group type**: Immm, No. 71
**Calculated formation energy**: -0.422 eV per atom

Lattice parameters (Å, degrees): 4.252 5.459 8.596 90.00 90.00 90.00
Fractional coordinates of all 10 atoms:
Nd 0.000 0.000 0.201
Nd 0.000 0.000 0.799
Nd 0.500 0.500 0.299
Nd 0.500 0.500 0.701
Al 0.000 0.500 0.000
Al 0.500 0.000 0.500
Ni 0.000 0.259 0.500
Ni 0.000 0.741 0.500
Ni 0.500 0.241 0.000
Ni 0.500 0.759 0.000

---

# 6
# CaSmZn2

An optimized crystal structure of CaSmZn2 (meta-GGA r2SCAN, Materials Project).

Values from the calculation:
**Electronic total energy**: -13.96 eV/atom
**Total magnetization**: 0.00 μB per atom
**Space-group type**: Fm-3m, No. 225
**Calculated formation energy**: -0.312 eV per atom

Lattice parameters (Å, degrees): 7.269 7.269 7.269 90.00 90.00 90.00
Fractional coordinates of all 16 atoms:
Ca 0.000 0.000 0.000
Ca 0.000 0.500 0.500
Ca 0.500 0.000 0.500
Ca 0.500 0.500 0.000
Sm 0.000 0.000 0.500
Sm 0.000 0.500 0.000
Sm 0.500 0.000 0.000
Sm 0.500 0.500 0.500
Zn 0.250 0.250 0.250
Zn 0.250 0.250 0.750
Zn 0.250 0.750 0.250
Zn 0.250 0.750 0.750
Zn 0.750 0.250 0.250
Zn 0.750 0.250 0.750
Zn 0.750 0.750 0.250
Zn 0.750 0.750 0.750

---

# 7
# La4Rh3

An optimized crystal structure of La4Rh3 (meta-GGA r2SCAN, Materials Project).

Values from the calculation:
**Electronic total energy**: -28.09 eV/atom
**Total magnetization**: 0.00 μB per atom
**Space-group type**: I-43d, No. 220
**Calculated formation energy**: -0.752 eV per atom

Lattice parameters (Å, degrees): 7.782 7.782 7.782 109.47 109.47 109.47
Fractional coordinates of all 14 atoms:
La 0.000 0.108 0.500
La 0.000 0.608 0.500
La 0.108 0.500 0.000
La 0.392 0.392 0.392
La 0.500 0.000 0.108
La 0.500 0.000 0.608
La 0.608 0.500 0.000
La 0.892 0.892 0.892
Rh 0.125 0.875 0.250
Rh 0.250 0.125 0.875
Rh 0.375 0.625 0.750
Rh 0.625 0.750 0.375
Rh 0.750 0.375 0.625
Rh 0.875 0.250 0.125

---

# 8
# YInPd

An optimized crystal structure of YInPd (meta-GGA r2SCAN, Materials Project).

Values from the calculation:
**Electronic total energy**: -22.86 eV/atom
**Total magnetization**: 0.00 μB per atom
**Space-group type**: P-62m, No. 189
**Calculated formation energy**: -0.905 eV per atom

Lattice parameters (Å, degrees): 7.704 7.704 3.818 90.00 90.00 120.00
Fractional coordinates of all 9 atoms:
Y 0.000 0.593 0.000
Y 0.407 0.407 0.000
Y 0.593 0.000 0.000
In 0.000 0.260 0.500
In 0.260 0.000 0.500
In 0.740 0.740 0.500
Pd 0.000 0.000 0.000
Pd 0.333 0.667 0.500
Pd 0.667 0.333 0.500

---

# 9
# UPS

An optimized crystal structure of UPS (meta-GGA r2SCAN, Materials Project).

Values from the calculation:
**Electronic total energy**: -33.80 eV/atom
**Total magnetization**: 0.85 μB per atom
**Space-group type**: P4/nmm, No. 129
**Calculated formation energy**: -1.471 eV per atom

Lattice parameters (Å, degrees): 3.803 3.803 8.275 90.00 90.00 90.00
Fractional coordinates of all 6 atoms:
U 0.250 0.250 0.230
U 0.750 0.750 0.770
P 0.250 0.750 0.500
P 0.750 0.250 0.500
S 0.250 0.250 0.870
S 0.750 0.750 0.130

---

# 10
# TbCo2B2

An optimized crystal structure of TbCo2B2 (meta-GGA r2SCAN, Materials Project).

Values from the calculation:
**Electronic total energy**: -15.01 eV/atom
**Total magnetization**: 0.00 μB per atom
**Space-group type**: I4/mmm, No. 139
**Calculated formation energy**: -0.536 eV per atom

Lattice parameters (Å, degrees): 3.538 3.538 9.435 90.00 90.00 90.00
Fractional coordinates of all 10 atoms:
Tb 0.000 0.000 0.000
Tb 0.500 0.500 0.500
Co 0.000 0.500 0.250
Co 0.000 0.500 0.750
Co 0.500 0.000 0.250
Co 0.500 0.000 0.750
B 0.000 0.000 0.345
B 0.000 0.000 0.655
B 0.500 0.500 0.155
B 0.500 0.500 0.845

---

# 11
# GdBrO

An optimized crystal structure of GdBrO (meta-GGA r2SCAN, Materials Project).

Values from the calculation:
**Electronic total energy**: -24.07 eV/atom
**Total magnetization**: 2.33 μB per atom
**Space-group type**: P4/nmm, No. 129
**Calculated formation energy**: -3.189 eV per atom

Lattice parameters (Å, degrees): 3.892 3.892 8.500 90.00 90.00 90.00
Fractional coordinates of all 6 atoms:
Gd 0.250 0.250 0.137
Gd 0.750 0.750 0.863
Br 0.250 0.250 0.672
Br 0.750 0.750 0.328
O 0.250 0.750 0.000
O 0.750 0.250 0.000

---

# 12
# NdGa4Ni

An optimized crystal structure of NdGa4Ni (meta-GGA r2SCAN, Materials Project).

Values from the calculation:
**Electronic total energy**: -15.11 eV/atom
**Total magnetization**: 0.00 μB per atom
**Space-group type**: Cmcm, No. 63
**Calculated formation energy**: -0.582 eV per atom

Lattice parameters (Å, degrees): 8.062 8.062 6.535 90.00 90.00 150.29
Fractional coordinates of all 12 atoms:
Nd 0.115 0.885 0.750
Nd 0.885 0.115 0.250
Ga 0.075 0.925 0.250
Ga 0.310 0.690 0.553
Ga 0.310 0.690 0.947
Ga 0.500 0.500 0.000
Ga 0.500 0.500 0.500
Ga 0.690 0.310 0.053
Ga 0.690 0.310 0.447
Ga 0.925 0.075 0.750
Ni 0.223 0.777 0.250
Ni 0.777 0.223 0.750

---

# 13
# Nd2SbO2

An optimized crystal structure of Nd2SbO2 (meta-GGA r2SCAN, Materials Project).

Values from the calculation:
**Electronic total energy**: -22.18 eV/atom
**Total magnetization**: 0.00 μB per atom
**Space-group type**: I4/mmm, No. 139
**Calculated formation energy**: -2.879 eV per atom

Lattice parameters (Å, degrees): 3.982 3.982 13.769 90.00 90.00 90.00
Fractional coordinates of all 10 atoms:
Nd 0.000 0.000 0.163
Nd 0.000 0.000 0.837
Nd 0.500 0.500 0.337
Nd 0.500 0.500 0.663
Sb 0.000 0.000 0.500
Sb 0.500 0.500 0.000
O 0.000 0.500 0.250
O 0.000 0.500 0.750
O 0.500 0.000 0.250
O 0.500 0.000 0.750

---

# 14
# V3OF11

An optimized crystal structure of V3OF11 (meta-GGA r2SCAN, Materials Project).

Values from the calculation:
**Electronic total energy**: -8.45 eV/atom
**Excess energy over the best structure of this formula in the dataset**: 2 meV/atom
**Total magnetization**: 0.13 μB per atom
**Space-group type**: P1, No. 1
**Calculated formation energy**: -2.942 eV per atom

Lattice parameters (Å, degrees): 5.089 5.338 14.024 80.39 89.99 90.00
Fractional coordinates of all 30 atoms:
V 0.000 0.000 0.000
V 0.013 0.686 0.667
V 0.043 0.304 0.336
V 0.484 0.471 0.004
V 0.513 0.186 0.667
V 0.527 0.833 0.332
O 0.220 0.047 0.360
O 0.307 0.214 0.027
F 0.110 0.060 0.881
F 0.111 0.405 0.214
F 0.112 0.723 0.546
F 0.202 0.369 0.694
F 0.203 0.696 0.029
F 0.323 0.530 0.362
F 0.324 0.870 0.694
F 0.414 0.223 0.546
F 0.416 0.894 0.213
F 0.417 0.573 0.881
F 0.610 0.160 0.787
F 0.610 0.826 0.453
F 0.611 0.494 0.118
F 0.704 0.504 0.638
F 0.706 0.824 0.973
F 0.730 0.153 0.303
F 0.797 0.320 0.971
F 0.820 0.657 0.305
F 0.822 0.004 0.639
F 0.914 0.327 0.450
F 0.917 0.656 0.787
F 0.918 0.994 0.121

---

# 15
# TiIn2O5

An optimized crystal structure of TiIn2O5 (meta-GGA r2SCAN, Materials Project).

Values from the calculation:
**Electronic total energy**: -13.40 eV/atom
**Total magnetization**: 0.00 μB per atom
**Space-group type**: Pnma, No. 62
**Calculated formation energy**: -2.403 eV per atom

Lattice parameters (Å, degrees): 7.274 3.516 14.960 90.00 90.00 90.00
Fractional coordinates of all 32 atoms:
Ti 0.108 0.250 0.077
Ti 0.392 0.750 0.577
Ti 0.608 0.250 0.423
Ti 0.892 0.750 0.923
In 0.099 0.250 0.416
In 0.174 0.250 0.760
In 0.326 0.750 0.260
In 0.401 0.750 0.916
In 0.599 0.250 0.084
In 0.674 0.250 0.740
In 0.826 0.750 0.240
In 0.901 0.750 0.584
O 0.060 0.750 0.325
O 0.072 0.750 0.045
O 0.130 0.750 0.851
O 0.154 0.750 0.504
O 0.240 0.250 0.181
O 0.260 0.750 0.681
O 0.346 0.250 0.004
O 0.370 0.250 0.351
O 0.428 0.250 0.545
O 0.440 0.250 0.825
O 0.560 0.750 0.175
O 0.572 0.750 0.455
O 0.630 0.750 0.649
O 0.654 0.750 0.996
O 0.740 0.250 0.319
O 0.760 0.750 0.819
O 0.846 0.250 0.496
O 0.870 0.250 0.149
O 0.928 0.250 0.955
O 0.940 0.250 0.675

---

# 16
# KMnO2

An optimized crystal structure of KMnO2 (meta-GGA r2SCAN, Materials Project).

Values from the calculation:
**Electronic total energy**: -10.18 eV/atom
**Total magnetization**: 1.00 μB per atom
**Space-group type**: P2_1/m, No. 11
**Calculated formation energy**: -2.021 eV per atom

Lattice parameters (Å, degrees): 6.228 11.326 10.097 90.00 94.73 90.00
Fractional coordinates of all 48 atoms:
K 0.066 0.105 0.117
K 0.066 0.395 0.117
K 0.075 0.750 0.177
K 0.171 0.250 0.424
K 0.190 0.537 0.415
K 0.190 0.963 0.415
K 0.810 0.037 0.585
K 0.810 0.463 0.585
K 0.829 0.750 0.576
K 0.925 0.250 0.823
K 0.934 0.605 0.883
K 0.934 0.895 0.883
Mn 0.356 0.750 0.719
Mn 0.363 0.501 0.729
Mn 0.363 0.999 0.729
Mn 0.380 0.250 0.728
Mn 0.484 0.625 0.011
Mn 0.484 0.875 0.011
Mn 0.516 0.125 0.989
Mn 0.516 0.375 0.989
Mn 0.620 0.750 0.272
Mn 0.637 0.001 0.271
Mn 0.637 0.499 0.271
Mn 0.644 0.250 0.281
O 0.162 0.621 0.670
O 0.162 0.879 0.670
O 0.192 0.128 0.659
O 0.192 0.372 0.659
O 0.295 0.750 0.944
O 0.308 0.002 0.941
O 0.308 0.498 0.941
O 0.315 0.250 0.945
O 0.424 0.622 0.228
O 0.424 0.878 0.228
O 0.434 0.127 0.267
O 0.434 0.373 0.267
O 0.566 0.627 0.733
O 0.566 0.873 0.733
O 0.576 0.122 0.772
O 0.576 0.378 0.772
O 0.685 0.750 0.055
O 0.692 0.502 0.059
O 0.692 0.998 0.059
O 0.705 0.250 0.056
O 0.808 0.628 0.341
O 0.808 0.872 0.341
O 0.838 0.121 0.330
O 0.838 0.379 0.330

---

# 17
# Ho2CdPd2

An optimized crystal structure of Ho2CdPd2 (meta-GGA r2SCAN, Materials Project).

Values from the calculation:
**Electronic total energy**: -27.20 eV/atom
**Total magnetization**: 0.00 μB per atom
**Space-group type**: P4/mbm, No. 127
**Calculated formation energy**: -0.840 eV per atom

Lattice parameters (Å, degrees): 7.670 7.670 3.654 90.00 90.00 90.00
Fractional coordinates of all 10 atoms:
Ho 0.173 0.327 0.000
Ho 0.327 0.827 0.000
Ho 0.673 0.173 0.000
Ho 0.827 0.673 0.000
Cd 0.000 0.000 0.500
Cd 0.500 0.500 0.500
Pd 0.128 0.628 0.500
Pd 0.372 0.128 0.500
Pd 0.628 0.872 0.500
Pd 0.872 0.372 0.500

---

# 18
# Pr2Nd2Sb3

An optimized crystal structure of Pr2Nd2Sb3 (meta-GGA r2SCAN, Materials Project).

Values from the calculation:
**Electronic total energy**: -29.07 eV/atom
**Total magnetization**: 0.00 μB per atom
**Space-group type**: I2_13, No. 199
**Calculated formation energy**: -1.244 eV per atom

Lattice parameters (Å, degrees): 8.273 8.273 8.273 109.47 109.47 109.47
Fractional coordinates of all 14 atoms:
Pr 0.000 0.141 0.500
Pr 0.141 0.500 0.000
Pr 0.359 0.359 0.359
Pr 0.500 0.000 0.141
Nd 0.000 0.640 0.500
Nd 0.500 0.000 0.640
Nd 0.640 0.500 0.000
Nd 0.860 0.860 0.860
Sb 0.124 0.874 0.250
Sb 0.250 0.124 0.874
Sb 0.376 0.626 0.750
Sb 0.626 0.750 0.376
Sb 0.750 0.376 0.626
Sb 0.874 0.250 0.124